[1]
VASP calculation (PBE+U) on crystalline BaCoSe4O12 at its relaxed geometry.

**Corrected total energy (MP2020 scheme)**: -98.46 eV per cell
**Symmetry**: P4/mmm
**Crystal system**: tetragonal
**Energy**: -4.921 eV/atom
**Total magnetic moment**: 3.0 μB/f.u.
**E_form**: -16.07 eV/f.u.

abc: 5.501 5.501 7.559
angles: 90.00 90.00 90.00
Atoms (fractional coordinates):
1 Ba 0.000 0.000 0.000
2 Co 0.500 0.500 0.500
3 Se 0.000 0.500 0.258
4 Se 0.000 0.500 0.742
5 Se 0.500 0.000 0.258
6 Se 0.500 0.000 0.742
7 O 0.000 0.500 0.000
8 O 0.000 0.500 0.500
9 O 0.260 0.260 0.279
10 O 0.260 0.260 0.721
11 O 0.260 0.740 0.279
12 O 0.260 0.740 0.721
13 O 0.500 0.000 0.000
14 O 0.500 0.000 0.500
15 O 0.740 0.260 0.279
16 O 0.740 0.260 0.721
17 O 0.740 0.740 0.279
18 O 0.740 0.740 0.721

---

[2]
VASP calculation (PBE+U) on crystalline V3Fe2O12 at its relaxed geometry.

**Corrected total energy (MP2020 scheme)**: -534.15 eV per cell
**Symmetry**: P2_12_12_1
**Crystal system**: orthorhombic
**Energy**: -6.805 eV/atom
**Total magnetic moment**: 11.0 μB/f.u.
**E_form**: -29.97 eV/f.u.

abc: 8.584 9.447 12.287
angles: 90.00 90.00 90.00
Atoms (fractional coordinates):
1 V 0.036 0.179 0.038
2 V 0.245 0.828 0.864
3 V 0.249 0.246 0.644
4 V 0.251 0.754 0.144
5 V 0.255 0.172 0.364
6 V 0.464 0.821 0.538
7 V 0.536 0.321 0.962
8 V 0.745 0.672 0.136
9 V 0.749 0.254 0.356
10 V 0.751 0.746 0.856
11 V 0.755 0.328 0.636
12 V 0.964 0.679 0.462
13 Fe 0.060 0.556 0.715
14 Fe 0.065 0.453 0.243
15 Fe 0.435 0.547 0.743
16 Fe 0.440 0.444 0.215
17 Fe 0.560 0.944 0.285
18 Fe 0.565 0.047 0.757
19 Fe 0.935 0.953 0.257
20 Fe 0.940 0.056 0.785
21 O 0.048 0.675 0.596
22 O 0.050 0.454 0.841
23 O 0.057 0.345 0.102
24 O 0.066 0.567 0.376
25 O 0.068 0.910 0.861
26 O 0.073 0.816 0.179
27 O 0.110 0.149 0.710
28 O 0.112 0.063 0.319
29 O 0.220 0.231 0.502
30 O 0.224 0.121 0.033
31 O 0.241 0.673 0.782
32 O 0.248 0.430 0.684
33 O 0.252 0.570 0.184
34 O 0.259 0.327 0.282
35 O 0.276 0.879 0.533
36 O 0.280 0.769 0.002
37 O 0.388 0.937 0.819
38 O 0.390 0.851 0.210
39 O 0.427 0.184 0.679
40 O 0.432 0.090 0.361
41 O 0.434 0.433 0.876
42 O 0.443 0.655 0.602
43 O 0.450 0.546 0.341
44 O 0.452 0.325 0.096
45 O 0.548 0.825 0.404
46 O 0.550 0.046 0.159
47 O 0.557 0.155 0.898
48 O 0.566 0.933 0.624
49 O 0.568 0.590 0.139
50 O 0.573 0.684 0.821
51 O 0.610 0.351 0.290
52 O 0.612 0.437 0.681
53 O 0.720 0.269 0.498
54 O 0.724 0.379 0.967
55 O 0.741 0.827 0.218
56 O 0.748 0.070 0.316
57 O 0.752 0.930 0.816
58 O 0.759 0.173 0.718
59 O 0.776 0.621 0.467
60 O 0.780 0.731 0.998
61 O 0.888 0.563 0.181
62 O 0.890 0.649 0.790
63 O 0.927 0.316 0.321
64 O 0.932 0.410 0.639
65 O 0.934 0.067 0.124
66 O 0.943 0.845 0.398
67 O 0.950 0.954 0.659
68 O 0.952 0.175 0.904

---

[3]
VASP calculation (PBE+U) on crystalline K2Mn5Si12O31 at its relaxed geometry.

**Corrected total energy (MP2020 scheme)**: -819.65 eV per cell
**Symmetry**: P-62c
**Crystal system**: hexagonal
**Energy**: -7.604 eV/atom
**Total magnetic moment**: 27.0 μB/f.u.
**E_form**: -143.30 eV/f.u.

abc: 10.575 10.575 14.444
angles: 90.00 90.00 120.00
Atoms (fractional coordinates):
1 K 0.000 0.000 0.000
2 K 0.000 0.000 0.500
3 K 0.333 0.667 0.250
4 K 0.667 0.333 0.750
5 Mn 0.000 0.500 0.000
6 Mn 0.000 0.500 0.500
7 Mn 0.333 0.667 0.506
8 Mn 0.333 0.667 0.994
9 Mn 0.500 0.000 0.000
10 Mn 0.500 0.000 0.500
11 Mn 0.500 0.500 0.000
12 Mn 0.500 0.500 0.500
13 Mn 0.667 0.333 0.006
14 Mn 0.667 0.333 0.494
15 Si 0.110 0.771 0.138
16 Si 0.110 0.771 0.362
17 Si 0.111 0.342 0.638
18 Si 0.111 0.342 0.862
19 Si 0.229 0.339 0.138
20 Si 0.229 0.339 0.362
21 Si 0.230 0.889 0.638
22 Si 0.230 0.889 0.862
23 Si 0.339 0.229 0.638
24 Si 0.339 0.229 0.862
25 Si 0.342 0.111 0.138
26 Si 0.342 0.111 0.362
27 Si 0.658 0.770 0.638
28 Si 0.658 0.770 0.862
29 Si 0.661 0.890 0.138
30 Si 0.661 0.890 0.362
31 Si 0.770 0.658 0.138
32 Si 0.770 0.658 0.362
33 Si 0.771 0.110 0.638
34 Si 0.771 0.110 0.862
35 Si 0.889 0.230 0.138
36 Si 0.889 0.230 0.362
37 Si 0.890 0.661 0.638
38 Si 0.890 0.661 0.862
39 O 0.056 0.269 0.110
40 O 0.056 0.269 0.390
41 O 0.057 0.787 0.610
42 O 0.057 0.787 0.890
43 O 0.120 0.364 0.750
44 O 0.123 0.756 0.250
45 O 0.153 0.488 0.581
46 O 0.153 0.488 0.919
47 O 0.156 0.666 0.085
48 O 0.156 0.666 0.415
49 O 0.213 0.270 0.610
50 O 0.213 0.270 0.890
51 O 0.213 0.944 0.110
52 O 0.213 0.944 0.390
53 O 0.244 0.367 0.250
54 O 0.244 0.880 0.750
55 O 0.269 0.056 0.610
56 O 0.269 0.056 0.890
57 O 0.270 0.213 0.110
58 O 0.270 0.213 0.390
59 O 0.333 0.667 0.750
60 O 0.334 0.490 0.085
61 O 0.334 0.490 0.415
62 O 0.335 0.847 0.581
63 O 0.335 0.847 0.919
64 O 0.364 0.120 0.250
65 O 0.367 0.244 0.750
66 O 0.488 0.153 0.081
67 O 0.488 0.153 0.419
68 O 0.490 0.334 0.585
69 O 0.490 0.334 0.915
70 O 0.510 0.844 0.085
71 O 0.510 0.844 0.415
72 O 0.512 0.665 0.581
73 O 0.512 0.665 0.919
74 O 0.633 0.877 0.250
75 O 0.636 0.756 0.750
76 O 0.665 0.512 0.081
77 O 0.665 0.512 0.419
78 O 0.666 0.156 0.585
79 O 0.666 0.156 0.915
80 O 0.667 0.333 0.250
81 O 0.730 0.943 0.610
82 O 0.730 0.943 0.890
83 O 0.731 0.787 0.110
84 O 0.731 0.787 0.390
85 O 0.756 0.123 0.750
86 O 0.756 0.636 0.250
87 O 0.787 0.057 0.110
88 O 0.787 0.057 0.390
89 O 0.787 0.731 0.610
90 O 0.787 0.731 0.890
91 O 0.844 0.510 0.585
92 O 0.844 0.510 0.915
93 O 0.847 0.335 0.081
94 O 0.847 0.335 0.419
95 O 0.877 0.633 0.750
96 O 0.880 0.244 0.250
97 O 0.943 0.730 0.110
98 O 0.943 0.730 0.390
99 O 0.944 0.213 0.610
100 O 0.944 0.213 0.890